No. 1
Computed, not measured: a relaxed structure of TaN2Cl5 at the GGA-PBE level of DFT.

Values from the calculation:
* electronic total energy: -35.6 eV/f.u.
* ρ: 2.7 g/cm3
* crystal system: tetragonal
* total energy after the MP2020 corrections: -4.83 eV per atom
* total moment: 11.95 Bohr magnetons per cell

Lattice parameters (Å, degrees): 10.541 10.541 10.541 140.03 140.03 57.81
Sites, in units of the cell vectors:
Ta1 0.116 0.116 0.000
Ta2 0.884 0.884 0.000
N1 0.000 0.000 0.000
N2 0.250 0.750 0.500
N3 0.500 0.500 0.000
N4 0.750 0.250 0.500
Cl1 0.127 0.127 0.459
Cl2 0.127 0.668 0.000
Cl3 0.242 0.242 0.000
Cl4 0.332 0.332 0.459
Cl5 0.332 0.873 0.000
Cl6 0.668 0.127 0.000
Cl7 0.668 0.668 0.541
Cl8 0.758 0.758 0.000
Cl9 0.873 0.332 0.000
Cl10 0.873 0.873 0.541

***

No. 2
Computed, not measured: a relaxed structure of NbCrGa at the GGA-PBE level of DFT.

Values from the calculation:
* electronic total energy: -23.3 eV/f.u.
* ρ: 8.0 g/cm3
* crystal system: orthorhombic
* total moment: 0.00 Bohr magnetons per cell

Lattice parameters (Å, degrees): 8.002 5.125 5.125 58.45 90.00 90.00
Sites, in units of the cell vectors:
Nb1 0.185 0.000 0.000
Nb2 0.300 0.666 0.666
Nb3 0.700 0.666 0.666
Nb4 0.815 0.000 0.000
Cr1 0.000 0.000 0.503
Cr2 0.000 0.503 0.000
Cr3 0.235 0.319 0.319
Cr4 0.765 0.319 0.319
Ga1 0.000 0.507 0.507
Ga2 0.500 0.160 0.160
Ga3 0.500 0.162 0.666
Ga4 0.500 0.666 0.162

***

No. 3
Computed, not measured: a relaxed structure of Ti3Os at the GGA-PBE level of DFT.

Values from the calculation:
* electronic total energy: -36.3 eV/f.u.
* ρ: 8.8 g/cm3
* crystal system: cubic

Lattice parameters (Å, degrees): 6.314 6.314 6.314 90.00 90.00 90.00
Sites, in units of the cell vectors:
Ti1 0.000 0.000 0.000
Ti2 0.000 0.500 0.500
Ti3 0.250 0.250 0.250
Ti4 0.250 0.250 0.750
Ti5 0.250 0.750 0.250
Ti6 0.250 0.750 0.750
Ti7 0.500 0.000 0.500
Ti8 0.500 0.500 0.000
Ti9 0.750 0.250 0.250
Ti10 0.750 0.250 0.750
Ti11 0.750 0.750 0.250
Ti12 0.750 0.750 0.750
Os1 0.000 0.000 0.500
Os2 0.000 0.500 0.000
Os3 0.500 0.000 0.000
Os4 0.500 0.500 0.500

***

No. 4
Computed, not measured: a relaxed structure of NdSe2 at the GGA-PBE level of DFT.

Values from the calculation:
* electronic total energy: -16.6 eV/f.u.
* ρ: 6.7 g/cm3
* crystal system: tetragonal
* total energy after the MP2020 corrections: -5.84 eV per atom

Lattice parameters (Å, degrees): 4.170 4.170 8.614 90.00 90.00 90.00
Sites, in units of the cell vectors:
Nd1 0.250 0.250 0.226
Nd2 0.750 0.750 0.774
Se1 0.250 0.250 0.868
Se2 0.250 0.750 0.500
Se3 0.750 0.250 0.500
Se4 0.750 0.750 0.132

***

No. 5
Computed, not measured: a relaxed structure of UH6C2O9 at the GGA-PBE level of DFT.

Values from the calculation:
* electronic total energy: -121.9 eV/f.u.
* ρ: 2.9 g/cm3
* crystal system: monoclinic
* total energy after the MP2020 corrections: -7.12 eV per atom
* total moment: 0.00 Bohr magnetons per cell

Lattice parameters (Å, degrees): 5.762 17.231 9.477 90.00 98.86 90.00
Sites, in units of the cell vectors:
U1 0.229 0.069 0.240
U2 0.229 0.431 0.740
U3 0.771 0.569 0.260
U4 0.771 0.931 0.760
H1 0.041 0.226 0.138
H2 0.041 0.274 0.638
H3 0.124 0.685 0.001
H4 0.124 0.815 0.501
H5 0.276 0.742 0.552
H6 0.276 0.758 0.052
H7 0.307 0.242 0.228
H8 0.307 0.258 0.728
H9 0.359 0.712 0.819
H10 0.359 0.788 0.319
H11 0.456 0.651 0.717
H12 0.456 0.849 0.217
H13 0.544 0.151 0.783
H14 0.544 0.349 0.283
H15 0.641 0.212 0.681
H16 0.641 0.288 0.181
H17 0.693 0.742 0.272
H18 0.693 0.758 0.772
H19 0.724 0.242 0.948
H20 0.724 0.258 0.448
H21 0.876 0.185 0.499
H22 0.876 0.315 0.999
H23 0.959 0.726 0.362
H24 0.959 0.774 0.862
C1 0.031 0.541 0.977
C2 0.031 0.959 0.477
C3 0.491 0.040 0.964
C4 0.491 0.460 0.464
C5 0.509 0.540 0.536
C6 0.509 0.960 0.036
C7 0.969 0.041 0.523
C8 0.969 0.459 0.023
O1 0.035 0.097 0.450
O2 0.035 0.403 0.950
O3 0.054 0.554 0.367
O4 0.054 0.946 0.867
O5 0.141 0.546 0.873
O6 0.141 0.954 0.373
O7 0.173 0.204 0.209
O8 0.173 0.296 0.709
O9 0.188 0.733 0.966
O10 0.188 0.767 0.466
O11 0.392 0.093 0.025
O12 0.392 0.407 0.525
O13 0.422 0.546 0.650
O14 0.422 0.954 0.150
O15 0.446 0.707 0.736
O16 0.446 0.793 0.236
O17 0.494 0.588 0.150
O18 0.494 0.912 0.650
O19 0.506 0.088 0.350
O20 0.506 0.412 0.850
O21 0.554 0.207 0.764
O22 0.554 0.293 0.264
O23 0.578 0.046 0.850
O24 0.578 0.454 0.350
O25 0.608 0.593 0.475
O26 0.608 0.907 0.975
O27 0.812 0.233 0.534
O28 0.812 0.267 0.034
O29 0.827 0.704 0.291
O30 0.827 0.796 0.791
O31 0.859 0.046 0.627
O32 0.859 0.454 0.127
O33 0.946 0.054 0.133
O34 0.946 0.446 0.633
O35 0.965 0.597 0.050
O36 0.965 0.903 0.550

***

No. 6
Computed, not measured: a relaxed structure of ErAg3 at the GGA-PBE level of DFT.

Values from the calculation:
* electronic total energy: -14.0 eV/f.u.
* ρ: 9.9 g/cm3
* crystal system: hexagonal

Lattice parameters (Å, degrees): 6.197 6.197 4.970 90.00 90.00 120.00
Sites, in units of the cell vectors:
Er1 0.333 0.667 0.250
Er2 0.667 0.333 0.750
Ag1 0.161 0.322 0.750
Ag2 0.161 0.839 0.750
Ag3 0.322 0.161 0.250
Ag4 0.678 0.839 0.750
Ag5 0.839 0.161 0.250
Ag6 0.839 0.678 0.250

***

No. 7
Computed, not measured: a relaxed structure of Na2Ca2Al6Si9H16O38 at the GGA-PBE level of DFT.

Values from the calculation:
* E above lowest polymorph: 0.57 eV/f.u.
* electronic total energy: -486.9 eV/f.u.
* ρ: 2.2 g/cm3
* crystal system: orthorhombic
* total energy after the MP2020 corrections: -7.03 eV per atom
* total moment: 0.00 Bohr magnetons per cell

Lattice parameters (Å, degrees): 28.803 9.939 30.105 72.95 19.26 87.79
Sites, in units of the cell vectors:
Na1 0.230 0.770 0.293
Na2 0.543 0.957 0.480
Na3 0.770 0.230 0.707
Na4 0.957 0.543 0.020
Ca1 0.096 0.898 0.058
Ca2 0.192 0.302 0.154
Ca3 0.302 0.192 0.352
Ca4 0.898 0.096 0.948
Al1 0.053 0.418 0.673
Al2 0.076 0.393 0.528
Al3 0.081 0.944 0.480
Al4 0.248 0.722 0.857
Al5 0.393 0.076 0.002
Al6 0.394 0.577 0.832
Al7 0.418 0.053 0.856
Al8 0.577 0.394 0.197
Al9 0.722 0.248 0.174
Al10 0.755 0.770 0.306
Al11 0.770 0.755 0.169
Al12 0.944 0.081 0.495
Si1 0.016 0.687 0.321
Si2 0.111 0.893 0.918
Si3 0.172 0.332 0.357
Si4 0.200 0.754 0.439
Si5 0.274 0.929 0.563
Si6 0.332 0.172 0.139
Si7 0.375 0.375 0.625
Si8 0.413 0.535 0.281
Si9 0.479 0.969 0.715
Si10 0.535 0.413 0.771
Si11 0.625 0.625 0.875
Si12 0.644 0.811 0.496
Si13 0.687 0.016 0.976
Si14 0.754 0.200 0.606
Si15 0.811 0.644 0.050
Si16 0.893 0.111 0.078
Si17 0.929 0.274 0.234
Si18 0.969 0.479 0.837
H1 0.029 0.076 0.167
H2 0.076 0.029 0.728
H3 0.083 0.522 0.221
H4 0.129 0.216 0.640
H5 0.216 0.129 0.015
H6 0.235 0.610 0.034
H7 0.264 0.595 0.702
H8 0.309 0.327 0.827
H9 0.327 0.309 0.536
H10 0.340 0.369 0.569
H11 0.346 0.803 0.588
H12 0.369 0.340 0.722
H13 0.423 0.714 0.941
H14 0.426 0.827 0.381
H15 0.517 0.804 0.261
H16 0.522 0.083 0.174
H17 0.528 0.681 0.881
H18 0.548 0.811 0.986
H19 0.595 0.264 0.439
H20 0.610 0.235 0.121
H21 0.662 0.986 0.904
H22 0.681 0.528 0.910
H23 0.714 0.423 0.923
H24 0.803 0.346 0.264
H25 0.804 0.517 0.417
H26 0.811 0.548 0.655
H27 0.827 0.426 0.366
H28 0.833 0.989 0.446
H29 0.869 0.884 0.824
H30 0.884 0.869 0.423
H31 0.986 0.662 0.447
H32 0.989 0.833 0.733
O1 0.000 0.448 0.117
O2 0.007 0.936 0.691
O3 0.015 0.222 0.466
O4 0.031 0.404 0.752
O5 0.034 0.096 0.759
O6 0.067 0.839 0.785
O7 0.096 0.034 0.111
O8 0.096 0.618 0.592
O9 0.111 0.417 0.436
O10 0.118 0.603 0.485
O11 0.124 0.371 0.079
O12 0.133 0.815 0.250
O13 0.139 0.491 0.154
O14 0.148 0.163 0.420
O15 0.151 0.886 0.466
O16 0.159 0.312 0.825
O17 0.163 0.148 0.269
O18 0.171 0.824 0.126
O19 0.193 0.732 0.625
O20 0.214 0.814 0.833
O21 0.222 0.015 0.297
O22 0.241 0.279 0.642
O23 0.269 0.425 0.376
O24 0.276 0.478 0.454
O25 0.279 0.241 0.838
O26 0.292 0.715 0.672
O27 0.312 0.159 0.705
O28 0.320 0.874 0.825
O29 0.371 0.124 0.426
O30 0.404 0.031 0.813
O31 0.412 0.608 0.971
O32 0.417 0.111 0.036
O33 0.425 0.269 0.930
O34 0.425 0.545 0.091
O35 0.437 0.498 0.846
O36 0.448 0.000 0.435
O37 0.456 0.765 0.647
O38 0.458 0.796 0.772
O39 0.465 0.941 0.183
O40 0.478 0.276 0.792
O41 0.491 0.139 0.216
O42 0.498 0.437 0.219
O43 0.510 0.512 0.445
O44 0.512 0.510 0.533
O45 0.545 0.425 0.938
O46 0.556 0.658 0.632
O47 0.559 0.885 0.243
O48 0.578 0.930 0.958
O49 0.603 0.118 0.794
O50 0.608 0.412 0.009
O51 0.618 0.096 0.694
O52 0.625 0.800 0.057
O53 0.658 0.556 0.154
O54 0.715 0.292 0.320
O55 0.717 0.805 0.738
O56 0.732 0.193 0.450
O57 0.753 0.784 0.364
O58 0.765 0.456 0.132
O59 0.784 0.753 0.099
O60 0.784 0.953 0.235
O61 0.796 0.458 0.974
O62 0.800 0.625 0.518
O63 0.805 0.717 0.740
O64 0.814 0.214 0.139
O65 0.815 0.133 0.802
O66 0.824 0.171 0.879
O67 0.830 0.981 0.102
O68 0.839 0.067 0.309
O69 0.874 0.320 0.981
O70 0.885 0.559 0.314
O71 0.886 0.151 0.497
O72 0.930 0.578 0.535
O73 0.936 0.007 0.365
O74 0.941 0.465 0.411
O75 0.953 0.784 0.028
O76 0.981 0.830 0.087

***

No. 8
Computed, not measured: a relaxed structure of La2B5H7C4O14 at the GGA-PBE level of DFT.

Values from the calculation:
* electronic total energy: -232.2 eV/f.u.
* ρ: 2.7 g/cm3
* crystal system: monoclinic
* total energy after the MP2020 corrections: -7.56 eV per atom
* total moment: 0.00 Bohr magnetons per cell

Lattice parameters (Å, degrees): 11.744 11.744 6.495 90.42 90.42 123.49
Sites, in units of the cell vectors:
La1 0.007 0.527 0.338
La2 0.067 0.933 0.500
La3 0.527 0.007 0.838
La4 0.933 0.067 0.000
B1 0.117 0.922 0.950
B2 0.143 0.728 0.846
B3 0.219 0.836 0.193
B4 0.288 0.782 0.533
B5 0.468 0.952 0.299
B6 0.728 0.143 0.346
B7 0.782 0.288 0.033
B8 0.836 0.219 0.693
B9 0.922 0.117 0.450
B10 0.952 0.468 0.799
H1 0.292 0.646 0.332
H2 0.327 0.606 0.990
H3 0.378 0.555 0.214
H4 0.388 0.496 0.964
H5 0.495 0.699 0.598
H6 0.496 0.388 0.464
H7 0.555 0.378 0.714
H8 0.603 0.635 0.592
H9 0.606 0.327 0.490
H10 0.630 0.761 0.415
H11 0.635 0.603 0.092
H12 0.646 0.292 0.832
H13 0.699 0.495 0.098
H14 0.761 0.630 0.915
C1 0.184 0.400 0.083
C2 0.329 0.522 0.060
C3 0.400 0.184 0.583
C4 0.522 0.329 0.560
C5 0.599 0.726 0.573
C6 0.701 0.837 0.718
C7 0.726 0.599 0.073
C8 0.837 0.701 0.218
O1 0.011 0.087 0.382
O2 0.044 0.598 0.736
O3 0.087 0.011 0.882
O4 0.095 0.821 0.809
O5 0.105 0.414 0.198
O6 0.147 0.290 0.987
O7 0.148 0.709 0.069
O8 0.167 0.924 0.146
O9 0.195 0.807 0.414
O10 0.255 0.644 0.466
O11 0.278 0.788 0.753
O12 0.290 0.147 0.487
O13 0.370 0.916 0.149
O14 0.414 0.105 0.698
O15 0.436 0.890 0.487
O16 0.598 0.044 0.236
O17 0.644 0.255 0.966
O18 0.663 0.894 0.845
O19 0.709 0.148 0.569
O20 0.788 0.278 0.253
O21 0.807 0.195 0.914
O22 0.821 0.095 0.309
O23 0.825 0.872 0.714
O24 0.872 0.825 0.214
O25 0.890 0.436 0.987
O26 0.894 0.663 0.345
O27 0.916 0.370 0.649
O28 0.924 0.167 0.646